[1]
Material: Na2Ge2O5
Method: DFT, PBE
State: relaxed

Computed properties:
Largest piezoelectric modulus   0.38 C/m²
Calculated total energy   -5.82 eV per atom
Formation energy   -2126.6 meV per atom
Space group   Pca2_1 (29)
Distance to the lowest polymorph of the same formula   11.7 meV/atom
Energy with MP2020 corrections   -6.197 eV/atom
Total magnetic moment   0.00 μB/atom

a b c (Å): 9.9640 5.7455 8.6949
angles (deg): 90.00 90.00 90.00
Last column: nearest neighbours and their distance in Å.
Fractional coordinates of all 36 atoms:
Na1 0.0098 0.0640 0.0000  5 O 2.41-2.66
Na2 0.2432 0.9079 0.2274  4 O 2.40-2.53
Na3 0.2568 0.9079 0.7274  4 O 2.40-2.53
Na4 0.4902 0.0640 0.5000  5 O 2.41-2.66
Na5 0.5098 0.9360 0.0000  5 O 2.41-2.66
Na6 0.7432 0.0921 0.2274  4 O 2.40-2.53
Na7 0.7568 0.0921 0.7274  4 O 2.40-2.53
Na8 0.9902 0.9360 0.5000  5 O 2.41-2.66
Ge1 0.0385 0.4542 0.7274  4 O 1.71-1.82
Ge2 0.2008 0.3664 0.4235  4 O 1.71-1.82
Ge3 0.2992 0.3664 0.9235  4 O 1.71-1.82
Ge4 0.4615 0.4542 0.2274  4 O 1.71-1.82
Ge5 0.5385 0.5458 0.7274  4 O 1.71-1.82
Ge6 0.7008 0.6336 0.4235  4 O 1.71-1.82
Ge7 0.7992 0.6336 0.9235  4 O 1.71-1.82
Ge8 0.9615 0.5458 0.2274  4 O 1.71-1.82
O1 0.0030 0.8348 0.2317  1 Ge 1.71
O2 0.0940 0.3384 0.2547  2 Ge 1.79-1.82
O3 0.1094 0.5622 0.5487  2 Ge 1.81-1.82
O4 0.1642 0.5547 0.8638  2 Ge 1.80-1.82
O5 0.2411 0.0890 0.4799  1 Ge 1.71
O6 0.2589 0.0890 0.9799  1 Ge 1.71
O7 0.3358 0.5547 0.3638  2 Ge 1.80-1.82
O8 0.3906 0.5622 0.0487  2 Ge 1.81-1.82
O9 0.4060 0.3384 0.7547  2 Ge 1.79-1.82
O10 0.4970 0.8348 0.7317  1 Ge 1.71
O11 0.5030 0.1652 0.2317  1 Ge 1.71
O12 0.5940 0.6616 0.2547  2 Ge 1.79-1.82
O13 0.6094 0.4378 0.5487  2 Ge 1.81-1.82
O14 0.6642 0.4453 0.8638  2 Ge 1.80-1.82
O15 0.7411 0.9110 0.4799  1 Ge 1.71
O16 0.7589 0.9110 0.9799  1 Ge 1.71
O17 0.8358 0.4453 0.3638  2 Ge 1.80-1.82
O18 0.8906 0.4378 0.0487  2 Ge 1.81-1.82
O19 0.9060 0.6616 0.7547  2 Ge 1.79-1.82
O20 0.9970 0.1652 0.7317  1 Ge 1.71

[2]
Material: NaGe2P3O12
Method: DFT, PBE
State: relaxed

Computed properties:
Calculated total energy   -6.81 eV per atom
Formation energy   -2475.1 meV per atom
Space group   R-3c (167)
Distance to the lowest polymorph of the same formula   3.8 meV/atom
Energy with MP2020 corrections   -7.263 eV/atom
Total magnetic moment   0.00 μB/atom

a b c (Å): 8.6867 8.6867 8.6867
angles (deg): 57.46 57.46 57.46
Last column: nearest neighbours and their distance in Å.
Fractional coordinates of all 36 atoms:
Na1 0.0000 0.0000 0.0000  6 O 2.43
Na2 0.5000 0.5000 0.5000  6 O 2.43
Ge1 0.1453 0.1453 0.1453  6 O 1.87-1.90
Ge2 0.3547 0.3547 0.3547  6 O 1.87-1.90
Ge3 0.6453 0.6453 0.6453  6 O 1.87-1.90
Ge4 0.8547 0.8547 0.8547  6 O 1.87-1.90
P1 0.0355 0.7500 0.4645  4 O 1.54
P2 0.2500 0.5355 0.9645  4 O 1.54
P3 0.4645 0.0355 0.7500  4 O 1.54
P4 0.5355 0.9645 0.2500  4 O 1.54
P5 0.7500 0.4645 0.0355  4 O 1.54
P6 0.9645 0.2500 0.5355  4 O 1.54
O1 0.0138 0.7713 0.6408  1 P 1.54
O2 0.0591 0.9308 0.2780  1 P 1.54
O3 0.0692 0.7220 0.9409  1 P 1.54
O4 0.1408 0.2713 0.5138  1 P 1.54
O5 0.2220 0.5692 0.4409  1 P 1.54
O6 0.2287 0.3592 0.9862  1 P 1.54
O7 0.2713 0.5138 0.1408  1 P 1.54
O8 0.2780 0.0591 0.9308  1 P 1.54
O9 0.3592 0.9862 0.2287  1 P 1.54
O10 0.4308 0.5591 0.7780  1 P 1.54
O11 0.4409 0.2220 0.5692  1 P 1.54
O12 0.4862 0.8592 0.7287  1 P 1.54
O13 0.5138 0.1408 0.2713  1 P 1.54
O14 0.5591 0.7780 0.4308  1 P 1.54
O15 0.5692 0.4409 0.2220  1 P 1.54
O16 0.6408 0.0138 0.7713  1 P 1.54
O17 0.7220 0.9409 0.0692  1 P 1.54
O18 0.7287 0.4862 0.8592  1 P 1.54
O19 0.7713 0.6408 0.0138  1 P 1.54
O20 0.7780 0.4308 0.5591  1 P 1.54
O21 0.8592 0.7287 0.4862  1 P 1.54
O22 0.9308 0.2780 0.0591  1 P 1.54
O23 0.9409 0.0692 0.7220  1 P 1.54
O24 0.9862 0.2287 0.3592  1 P 1.54

[3]
Material: NaGe4P3O12
Method: DFT, PBE
State: relaxed

Computed properties:
Calculated total energy   -6.64 eV per atom
Formation energy   -2284.8 meV per atom
Space group   R3c (161)
Energy with MP2020 corrections   -7.056 eV/atom
Total magnetic moment   0.00 μB/atom

a b c (Å): 9.7845 9.7845 9.7845
angles (deg): 59.13 59.13 59.13
Last column: nearest neighbours and their distance in Å.
Fractional coordinates of all 40 atoms:
Na1 0.0000 0.0000 0.0000  9 O 2.54-2.75
Na2 0.5000 0.5000 0.5000  9 O 2.54-2.75
Ge1 0.0563 0.5851 0.6986  3 O 1.95-1.99
Ge2 0.0851 0.5563 0.1986  3 O 1.95-1.99
Ge3 0.1407 0.1407 0.1407  3 O 1.96
Ge4 0.1986 0.0851 0.5563  3 O 1.95-1.99
Ge5 0.5563 0.1986 0.0851  3 O 1.95-1.99
Ge6 0.5851 0.6986 0.0563  3 O 1.95-1.99
Ge7 0.6407 0.6407 0.6407  3 O 1.96
Ge8 0.6986 0.0563 0.5851  3 O 1.95-1.99
P1 0.1962 0.7426 0.2836  4 O 1.55-1.56
P2 0.2426 0.6962 0.7836  4 O 1.55-1.56
P3 0.2836 0.1962 0.7426  4 O 1.55-1.56
P4 0.6962 0.7836 0.2426  4 O 1.55-1.56
P5 0.7426 0.2836 0.1962  4 O 1.55-1.56
P6 0.7836 0.2426 0.6962  4 O 1.55-1.56
O1 0.0869 0.9323 0.2601  1 P 1.56
O2 0.1116 0.6313 0.4609  1 P 1.55
O3 0.1313 0.6116 0.9609  1 P 1.55
O4 0.1472 0.2031 0.6985  1 P 1.56
O5 0.1985 0.7031 0.6472  1 P 1.56
O6 0.2031 0.6985 0.1472  1 P 1.56
O7 0.2073 0.8789 0.7623  1 P 1.55
O8 0.2601 0.0869 0.9323  1 P 1.56
O9 0.2623 0.3789 0.7073  1 P 1.55
O10 0.3789 0.7073 0.2623  1 P 1.55
O11 0.4323 0.5869 0.7601  1 P 1.56
O12 0.4609 0.1116 0.6313  1 P 1.55
O13 0.5869 0.7601 0.4323  1 P 1.56
O14 0.6116 0.9609 0.1313  1 P 1.55
O15 0.6313 0.4609 0.1116  1 P 1.55
O16 0.6472 0.1985 0.7031  1 P 1.56
O17 0.6985 0.1472 0.2031  1 P 1.56
O18 0.7031 0.6472 0.1985  1 P 1.56
O19 0.7073 0.2623 0.3789  1 P 1.55
O20 0.7601 0.4323 0.5869  1 P 1.56
O21 0.7623 0.2073 0.8789  1 P 1.55
O22 0.8789 0.7623 0.2073  1 P 1.55
O23 0.9323 0.2601 0.0869  1 P 1.56
O24 0.9609 0.1313 0.6116  1 P 1.55

> Which formula does entry 1 have?

Na2Ge2O5